Material: La2TiCoO6
Method: DFT, PBE+U
State: relaxed

Unit cell a=5.581 b=5.581 c=5.581 alpha=60.00 beta=60.00 gamma=60.00
Fractional positions:
O1 0.756 0.244 0.244
La1 0.750 0.750 0.750
Co1 0.500 0.500 0.500
O2 0.244 0.756 0.244
O3 0.244 0.244 0.756
O4 0.756 0.756 0.244
O5 0.244 0.756 0.756
Ti1 0.000 0.000 0.000
La2 0.250 0.250 0.250
O6 0.756 0.244 0.756

For the final energy, the calculation gives -8.023 eV per atom. As for the volume: 122.9 Å³ per cell. Its space group is No. 225. The value obtained for the formation energy is -3.143 eV/atom.

---

Material: La2Ti2CoO8
Method: DFT, PBE+U
State: relaxed

Unit cell a=5.259 b=5.259 c=25.816 alpha=84.15 beta=84.15 gamma=90.00
Fractional positions:
La1 0.846 0.846 0.807
O1 0.063 0.063 0.874
O2 0.357 0.857 0.786
O3 0.983 0.983 0.533
O4 0.267 0.767 0.967
Ti1 0.448 0.448 0.604
O5 0.938 0.438 0.124
Co1 0.250 0.750 0.500
La2 0.096 0.096 0.307
O6 0.107 0.607 0.286
La3 0.596 0.596 0.307
Co2 0.750 0.250 0.500
O7 0.187 0.187 0.626
O8 0.312 0.812 0.376
O9 0.233 0.233 0.033
O10 0.062 0.562 0.876
O11 0.483 0.483 0.533
Ti2 0.552 0.052 0.396
O12 0.437 0.437 0.126
La4 0.654 0.154 0.193
La5 0.346 0.346 0.807
O13 0.688 0.188 0.624
O14 0.313 0.313 0.374
Co3 0.000 0.500 0.000
O15 0.188 0.688 0.624
Co4 0.500 0.000 0.000
O16 0.643 0.643 0.214
O17 0.893 0.893 0.714
O18 0.767 0.267 0.967
O19 0.438 0.938 0.124
Ti3 0.698 0.698 0.104
O20 0.517 0.017 0.467
O21 0.813 0.813 0.374
O22 0.937 0.937 0.126
O23 0.812 0.312 0.376
O24 0.563 0.563 0.874
O25 0.393 0.393 0.714
O26 0.143 0.143 0.214
Ti4 0.302 0.802 0.896
La6 0.404 0.904 0.693
O27 0.687 0.687 0.626
O28 0.562 0.062 0.876
Ti5 0.802 0.302 0.896
O29 0.857 0.357 0.786
O30 0.733 0.733 0.033
La7 0.154 0.654 0.193
Ti6 0.052 0.552 0.396
Ti7 0.948 0.948 0.604
O31 0.017 0.517 0.467
O32 0.607 0.107 0.286
La8 0.904 0.404 0.693
Ti8 0.198 0.198 0.104

For the final energy, the calculation gives -8.347 eV per atom. As for the volume: 706.7 Å³ per cell. The value obtained for the formation energy is -3.330 eV/atom.

---

Material: La2ZnCoO6
Method: DFT, PBE+U
State: relaxed

Unit cell a=5.473 b=9.617 c=9.611 alpha=79.26 beta=88.53 gamma=74.31
Fractional positions:
O1 0.482 0.585 0.824
La1 0.184 0.629 0.064
O2 0.982 0.619 0.842
La2 0.816 0.371 0.939
Zn1 0.125 0.752 0.373
Zn2 0.624 0.752 0.876
O3 0.765 0.883 0.404
Co1 0.500 0.000 0.500
O4 0.765 0.913 0.925
O5 0.822 0.344 0.413
O6 0.018 0.383 0.155
La3 0.315 0.374 0.436
Co2 0.000 0.000 0.999
O7 0.267 0.914 0.427
O8 0.516 0.384 0.656
Co3 0.750 0.499 0.251
O9 0.572 0.845 0.661
La4 0.566 0.879 0.183
O10 0.320 0.350 0.911
O11 0.517 0.415 0.176
La5 0.936 0.123 0.311
O12 0.268 0.880 0.902
Zn3 0.876 0.248 0.625
O13 0.925 0.158 0.835
O14 0.732 0.121 0.096
O15 0.236 0.088 0.073
O16 0.733 0.085 0.574
O17 0.981 0.584 0.327
O18 0.482 0.614 0.347
Zn4 0.376 0.248 0.126
O19 0.074 0.844 0.164
Co4 0.250 0.500 0.750
La6 0.063 0.879 0.688
O20 0.428 0.153 0.340
La7 0.685 0.627 0.560
O21 0.020 0.416 0.674
O22 0.178 0.652 0.587
O23 0.680 0.653 0.089
La8 0.436 0.119 0.818
O24 0.236 0.116 0.597

For the final energy, the calculation gives -6.865 eV per atom. As for the volume: 478.3 Å³ per cell. Its space group is No. 1. The value obtained for the formation energy is -2.648 eV/atom.

---

Material: La2ZnCoO6
Method: DFT, PBE+U
State: relaxed

Unit cell a=5.468 b=7.829 c=5.590 alpha=89.94 beta=90.05 gamma=91.79
Fractional positions:
La1 0.503 0.751 0.000
Co1 0.500 0.500 0.500
Zn1 0.500 0.000 0.500
O1 0.505 0.739 0.568
La2 0.497 0.249 0.000
O2 0.776 0.469 0.703
O3 0.995 0.760 0.931
O4 0.275 0.969 0.202
O5 0.293 0.463 0.771
O6 0.707 0.537 0.229
O7 0.792 0.963 0.270
La3 0.997 0.748 0.500
Co2 0.000 0.000 0.000
O8 0.208 0.037 0.730
O9 0.495 0.261 0.432
Zn2 0.000 0.500 0.000
O10 0.005 0.240 0.069
La4 0.003 0.252 0.500
O11 0.224 0.531 0.297
O12 0.725 0.031 0.798

For the final energy, the calculation gives -6.873 eV per atom. As for the volume: 239.2 Å³ per cell. Its space group is No. 2. The value obtained for the formation energy is -2.656 eV/atom.

---

Material: LiLu4Co4O12
Method: DFT, PBE+U
State: relaxed

Unit cell a=5.141 b=5.863 c=7.450 alpha=90.32 beta=90.36 gamma=89.53
Fractional positions:
O1 0.691 0.334 0.429
Co1 0.005 0.495 0.501
O2 0.859 0.552 0.750
O3 0.627 0.052 0.744
Lu1 0.960 0.090 0.247
Lu2 0.543 0.631 0.246
O4 0.175 0.179 0.938
O5 0.186 0.176 0.563
O6 0.814 0.820 0.064
O7 0.362 0.958 0.257
Co2 0.006 0.494 0.999
Li1 0.441 0.246 0.248
O8 0.686 0.332 0.068
Lu3 0.476 0.411 0.753
O9 0.157 0.440 0.250
Co3 0.492 0.993 0.510
Co4 0.494 0.992 0.987
O10 0.299 0.672 0.565
Lu4 0.020 0.907 0.752
O11 0.805 0.826 0.440
O12 0.303 0.672 0.939

For the final energy, the calculation gives -6.986 eV per atom. As for the volume: 224.5 Å³ per cell. Its space group is No. 1. The value obtained for the formation energy is -2.557 eV/atom.

---

Copy entry 5 word for word.
Material: LiLu4Co4O12
Method: DFT, PBE+U
State: relaxed

Unit cell a=5.141 b=5.863 c=7.450 alpha=90.32 beta=90.36 gamma=89.53
Fractional positions:
O1 0.691 0.334 0.429
Co1 0.005 0.495 0.501
O2 0.859 0.552 0.750
O3 0.627 0.052 0.744
Lu1 0.960 0.090 0.247
Lu2 0.543 0.631 0.246
O4 0.175 0.179 0.938
O5 0.186 0.176 0.563
O6 0.814 0.820 0.064
O7 0.362 0.958 0.257
Co2 0.006 0.494 0.999
Li1 0.441 0.246 0.248
O8 0.686 0.332 0.068
Lu3 0.476 0.411 0.753
O9 0.157 0.440 0.250
Co3 0.492 0.993 0.510
Co4 0.494 0.992 0.987
O10 0.299 0.672 0.565
Lu4 0.020 0.907 0.752
O11 0.805 0.826 0.440
O12 0.303 0.672 0.939

For the final energy, the calculation gives -6.986 eV per atom. As for the volume: 224.5 Å³ per cell. Its space group is No. 1. The value obtained for the formation energy is -2.557 eV/atom.